This record from Materials Project describes crystalline CrReO4 at its relaxed geometry. The functional is PBE+U.

Summary:
Energy above the most stable polymorph in this dataset ... 0.04 eV/f.u.
Calculated formation energy ... -2.140 eV per atom
Calculated density ... 7.759 g/cm³

a = 6.5821 Å, b = 7.4146 Å, c = 7.4146 Å
α = 134.36°, β = 90.00°, γ = 90.00°
With the nearest neighbours (Å) after each atom.
Fractional coordinates of all 24 atoms:
Cr: 0.2500 0.1177 0.8822  6 O 1.99-2.04
Cr: 0.2500 0.6351 0.3649  6 O 1.96-2.04
Cr: 0.7500 0.3649 0.6351  6 O 1.96-2.04
Cr: 0.7500 0.8822 0.1177  6 O 1.99-2.04
Re: 0.2500 0.1527 0.4001  6 O 1.92-2.03
Re: 0.2500 0.5979 0.8458  6 O 1.93-2.03
Re: 0.7500 0.4001 0.1527  6 O 1.92-2.03
Re: 0.7500 0.8458 0.5979  6 O 1.93-2.03
O: 0.0419 0.3825 0.1313  1 Re 1.92, 2 Cr 1.96-2.02
O: 0.0420 0.8683 0.6177  1 Re 1.93, 2 Cr 1.96-2.02
O: 0.2500 0.2636 0.7361  1 Cr 1.99, 2 Re 2.00
O: 0.2500 0.4867 0.5118  2 Re 1.99, 1 Cr 2.02
O: 0.2500 0.7837 0.2154  2 Re 2.03, 1 Cr 2.04
O: 0.2500 0.9679 0.0311  2 Re 2.03, 1 Cr 2.04
O: 0.4581 0.3825 0.1313  1 Re 1.92, 2 Cr 1.96-2.02
O: 0.4580 0.8683 0.6177  1 Re 1.93, 2 Cr 1.96-2.02
O: 0.5419 0.1313 0.3825  1 Re 1.92, 2 Cr 1.96-2.02
O: 0.5420 0.6177 0.8683  1 Re 1.93, 2 Cr 1.96-2.02
O: 0.7500 0.0311 0.9679  2 Re 2.03, 1 Cr 2.04
O: 0.7500 0.2154 0.7837  2 Re 2.03, 1 Cr 2.04
O: 0.7500 0.5118 0.4867  2 Re 1.99, 1 Cr 2.02
O: 0.7500 0.7361 0.2636  1 Cr 1.99, 2 Re 2.00
O: 0.9581 0.1313 0.3825  1 Re 1.92, 2 Cr 1.96-2.02
O: 0.9580 0.6177 0.8683  1 Re 1.93, 2 Cr 1.96-2.02


This record from Materials Project describes crystalline Rb2Mo3SeO12 at its relaxed geometry. The functional is PBE+U.

Summary:
Calculated formation energy ... -1.957 eV per atom
Calculated density ... 4.147 g/cm³

a = 7.3880 Å, b = 7.3880 Å, c = 12.3615 Å
α = 90.00°, β = 90.00°, γ = 120.00°
With the nearest neighbours (Å) after each atom.
Fractional coordinates of all 36 atoms:
Rb: 0.3333 0.6667 0.0000  6 O 2.98-3.06
Rb: 0.3333 0.6667 0.3783  6 O 3.05-3.36
Rb: 0.6667 0.3333 0.5000  6 O 2.98-3.06
Rb: 0.6667 0.3333 0.8783  6 O 3.05-3.36
Mo: 0.1401 0.3396 0.6649  3 O 1.74-1.86
Mo: 0.1995 0.8599 0.6649  3 O 1.74-1.86
Mo: 0.3396 0.1995 0.1649  3 O 1.74-1.86
Mo: 0.6604 0.8005 0.6649  3 O 1.74-1.86
Mo: 0.8005 0.1401 0.1649  3 O 1.74-1.86
Mo: 0.8599 0.6604 0.1649  3 O 1.74-1.86
Se: 0.0000 0.0000 0.4358  3 O 1.74
Se: 0.0000 0.0000 0.9358  3 O 1.74
O: 0.0861 0.5469 0.6183  1 Mo 1.86
O: 0.1191 0.8721 0.4949  1 Se 1.74
O: 0.1225 0.2519 0.1783  1 Mo 1.84
O: 0.1279 0.2470 0.4949  1 Se 1.74
O: 0.1295 0.8775 0.1783  1 Mo 1.84
O: 0.2008 0.4063 0.8005  1 Mo 1.74
O: 0.2055 0.7992 0.8005  1 Mo 1.74
O: 0.2470 0.1191 0.9949  1 Se 1.74
O: 0.2519 0.1295 0.6783  1 Mo 1.84
O: 0.4063 0.2055 0.3005  1 Mo 1.74
O: 0.4531 0.5392 0.6183  1 Mo 1.86
O: 0.4608 0.9139 0.6183  1 Mo 1.86
O: 0.5392 0.0861 0.1183  1 Mo 1.86
O: 0.5469 0.4608 0.1183  1 Mo 1.86
O: 0.5937 0.7945 0.8005  1 Mo 1.74
O: 0.7481 0.8705 0.1783  1 Mo 1.84
O: 0.7530 0.8809 0.4949  1 Se 1.74
O: 0.7945 0.2008 0.3005  1 Mo 1.74
O: 0.7992 0.5937 0.3005  1 Mo 1.74
O: 0.8705 0.1225 0.6783  1 Mo 1.84
O: 0.8721 0.7530 0.9949  1 Se 1.74
O: 0.8775 0.7481 0.6783  1 Mo 1.84
O: 0.8809 0.1279 0.9949  1 Se 1.74
O: 0.9139 0.4531 0.1183  1 Mo 1.86


This record from Materials Project describes crystalline GdVO4 at its relaxed geometry. The functional is PBE+U.

Summary:
Calculated formation energy ... -3.177 eV per atom
Calculated density ... 5.291 g/cm³

a = 6.0760 Å, b = 6.0760 Å, c = 6.0760 Å
α = 106.18°, β = 106.18°, γ = 116.27°
With the nearest neighbours (Å) after each atom.
Fractional coordinates of all 12 atoms:
Gd: 0.3750 0.6250 0.7500  8 O 2.36-2.48
Gd: 0.6250 0.3750 0.2500  8 O 2.36-2.48
V: 0.1250 0.8750 0.2500  4 O 1.74
V: 0.8750 0.1250 0.7500  4 O 1.74
O: 0.1345 0.7012 0.4333  1 V 1.74
O: 0.2321 0.2988 0.9333  1 V 1.74
O: 0.2988 0.2321 0.4333  1 V 1.74
O: 0.2988 0.8655 0.0667  1 V 1.74
O: 0.7012 0.1345 0.9333  1 V 1.74
O: 0.7012 0.7679 0.5667  1 V 1.74
O: 0.7679 0.7012 0.0667  1 V 1.74
O: 0.8655 0.2988 0.5667  1 V 1.74


This record from Materials Project describes crystalline MgV4O7F5 at its relaxed geometry. The functional is PBE+U.

Summary:
Energy above the most stable polymorph in this dataset ... 1.41 eV/f.u.
Calculated formation energy ... -2.640 eV per atom
Calculated density ... 3.364 g/cm³

a = 5.2640 Å, b = 5.6271 Å, c = 7.2625 Å
α = 92.19°, β = 90.46°, γ = 92.61°
With the nearest neighbours (Å) after each atom.
Fractional coordinates of all 17 atoms:
Mg: 0.0000 0.0000 0.0000  3 O 2.00-2.18, 3 F 2.02-2.18
V: 0.4878 0.9259 0.7828  2 O 1.67-1.71
V: 0.5104 0.8468 0.2762  1 O 1.68
V: 0.9491 0.4370 0.7890  1 O 1.65
V: 0.9863 0.3692 0.2925  2 O 1.69-1.88
O: 0.3077 0.1550 0.8384  1 V 1.67
O: 0.3113 0.6043 0.2535  1 V 1.68
O: 0.4485 0.8929 0.5498  1 V 1.71
O: 0.6364 0.8853 0.0244  2 V 1.94-1.97, 1 Mg 2.00
O: 0.6947 0.5861 0.7418  1 V 1.65
O: 0.7525 0.1638 0.3380  1 V 1.69
O: 0.9459 0.3565 0.0342  2 V 1.85-1.88, 1 Mg 2.04
F: 0.1213 0.4109 0.5521  2 V 1.96-2.01
F: 0.1780 0.7223 0.8648  2 V 2.02-2.05, 1 Mg 2.08
F: 0.2211 0.0741 0.2257  1 Mg 2.02, 2 V 2.07-2.16
F: 0.8196 0.6711 0.3302  2 V 1.96-1.99
F: 0.8222 0.0930 0.7424  2 V 1.99-2.03, 1 Mg 2.18


This record from Materials Project describes crystalline CsMn2P6O18 at its relaxed geometry. The functional is PBE+U.

Summary:
Energy above the most stable polymorph in this dataset ... 0.09 eV/f.u.
Calculated formation energy ... -2.586 eV per atom
Calculated density ... 2.866 g/cm³

a = 5.2841 Å, b = 9.2163 Å, c = 9.2187 Å
α = 89.21°, β = 74.14°, γ = 74.45°
With the nearest neighbours (Å) after each atom.
Fractional coordinates of all 27 atoms:
Cs: 0.0000 0.0000 0.0000  8 O 3.35-3.56
Mn: 0.5000 0.0000 0.5000  6 O 2.05-2.18
Mn: 0.5000 0.5000 0.0000  6 O 2.03-2.18
P: 0.0674 0.5484 0.7831  4 O 1.50-1.61
P: 0.0670 0.7821 0.5489  4 O 1.50-1.61
P: 0.4998 0.2538 0.7470  4 O 1.51-1.60
P: 0.5002 0.7462 0.2530  4 O 1.51-1.60
P: 0.9330 0.2179 0.4511  4 O 1.50-1.61
P: 0.9326 0.4516 0.2169  4 O 1.50-1.61
O: 0.1481 0.6273 0.6282  2 P 1.60
O: 0.1695 0.9001 0.6071  1 P 1.50
O: 0.1697 0.6065 0.9010  1 P 1.50
O: 0.2303 0.1831 0.4458  1 P 1.50
O: 0.2312 0.4461 0.1812  1 P 1.51
O: 0.2414 0.3783 0.7213  2 P 1.60-1.61
O: 0.2433 0.7194 0.3787  2 P 1.60-1.61
O: 0.4592 0.1023 0.7180  1 P 1.51
O: 0.4595 0.7151 0.1019  1 P 1.51
O: 0.5405 0.2849 0.8981  1 P 1.51
O: 0.5408 0.8977 0.2820  1 P 1.51
O: 0.7567 0.2806 0.6213  2 P 1.60-1.61
O: 0.7587 0.6217 0.2787  2 P 1.60-1.61
O: 0.7688 0.5539 0.8188  1 P 1.51
O: 0.7697 0.8169 0.5542  1 P 1.50
O: 0.8303 0.3935 0.0990  1 P 1.50
O: 0.8305 0.0999 0.3929  1 P 1.50
O: 0.8519 0.3727 0.3718  2 P 1.60


This record from Materials Project describes crystalline Na2FeO3 at its relaxed geometry. The functional is PBE+U.

Summary:
Energy above the most stable polymorph in this dataset ... 0.32 eV/f.u.
Calculated formation energy ... -1.585 eV per atom
Calculated density ... 2.796 g/cm³
Maximum piezoelectric response ... 1.05 C/m2

a = 6.4532 Å, b = 6.4532 Å, c = 5.1003 Å
α = 90.00°, β = 90.00°, γ = 56.92°
With the nearest neighbours (Å) after each atom.
Fractional coordinates of all 12 atoms:
Na: 0.0080 0.6610 0.5000  4 O 2.33-2.47
Na: 0.3390 0.9920 0.5000  4 O 2.33-2.47
Na: 0.6610 0.0080 0.0000  4 O 2.33-2.47
Na: 0.9920 0.3390 0.0000  4 O 2.33-2.47
Fe: 0.3269 0.6731 0.9654  4 O 1.78-1.92
Fe: 0.6731 0.3269 0.4654  4 O 1.78-1.92
O: 0.0658 0.6533 0.0214  1 Fe 1.78
O: 0.3467 0.9342 0.0214  1 Fe 1.78
O: 0.3849 0.6151 0.6082  2 Fe 1.86-1.92
O: 0.6151 0.3849 0.1082  2 Fe 1.86-1.92
O: 0.6533 0.0658 0.5214  1 Fe 1.78
O: 0.9342 0.3467 0.5214  1 Fe 1.78


| no. | total energy (eV/atom) |
| --- | --- |
| 1 | -8.331 |
| 2 | -6.375 |
| 3 | -9.594 |
| 4 | -6.653 |
| 5 | -7.218 |
| 6 | -5.192 |